VASP calculation (GGA+U) on crystalline K2NaMgVOF5 at its relaxed geometry.

- space group = No. 1
- VASP energy (eV/atom) = -5.03
- energy of formation (eV/atom) = -2.840

a = 5.814 Å, b = 6.197 Å, c = 6.236 Å
α = 78.02°, β = 62.23°, γ = 62.06°
Atoms (fractional coordinates):
K  0.000  0.000  0.000
K  0.474  0.725  0.326
Na  0.170  0.289  0.371
Mg  0.438  0.329  0.795
V  0.729  0.838  0.704
O  0.456  0.067  0.024
F  0.074  0.587  0.798
F  0.421  0.119  0.583
F  0.543  0.585  0.804
F  0.873  0.122  0.577
F  0.982  0.682  0.349



VASP calculation (GGA+U) on crystalline K2NaMgVOF5 at its relaxed geometry.

- space group = No. 44
- VASP energy (eV/atom) = -4.85
- energy of formation (eV/atom) = -2.659

a = 6.821 Å, b = 6.821 Å, c = 6.821 Å
α = 130.51°, β = 127.62°, γ = 74.93°
Atoms (fractional coordinates):
K  0.000  0.000  0.000
K  0.362  0.362  0.000
Na  0.778  0.278  0.500
Mg  0.665  0.665  0.000
V  0.169  0.669  0.500
O  0.979  0.479  0.500
F  0.367  0.867  0.500
F  0.460  0.445  0.538
F  0.460  0.922  0.015
F  0.907  0.445  0.985
F  0.907  0.922  0.462



VASP calculation (GGA+U) on crystalline K2NaMgVOF5 at its relaxed geometry.

- space group = No. 8
- VASP energy (eV/atom) = -4.94
- energy of formation (eV/atom) = -2.757

a = 6.594 Å, b = 6.594 Å, c = 6.158 Å
α = 116.78°, β = 116.78°, γ = 98.82°
Atoms (fractional coordinates):
K  0.189  0.811  0.000
K  0.811  0.189  0.000
Na  0.066  0.066  0.640
Mg  0.587  0.587  0.193
V  0.569  0.569  0.655
O  0.791  0.791  0.615
F  0.339  0.339  0.162
F  0.356  0.786  0.674
F  0.371  0.371  0.756
F  0.786  0.356  0.674
F  0.792  0.792  0.140



VASP calculation (GGA+U) on crystalline K2MnF6 at its relaxed geometry.

- space group = No. 186
- VASP energy (eV/atom) = -4.94
- energy of formation (eV/atom) = -2.892

a = 5.834 Å, b = 5.834 Å, c = 9.538 Å
α = 90.00°, β = 90.00°, γ = 120.00°
Atoms (fractional coordinates):
K  0.000  0.000  0.000
K  0.000  0.000  0.500
K  0.333  0.667  0.273
K  0.667  0.333  0.773
Mn  0.333  0.667  0.658
Mn  0.667  0.333  0.158
F  0.037  0.519  0.544
F  0.181  0.361  0.765
F  0.181  0.819  0.765
F  0.361  0.181  0.265
F  0.481  0.519  0.544
F  0.481  0.963  0.544
F  0.519  0.037  0.044
F  0.519  0.481  0.044
F  0.639  0.819  0.765
F  0.819  0.181  0.265
F  0.819  0.639  0.265
F  0.963  0.481  0.044



VASP calculation (GGA+U) on crystalline K2MnF6 at its relaxed geometry.

- space group = No. 225
- VASP energy (eV/atom) = -4.94
- energy of formation (eV/atom) = -2.893

a = 5.916 Å, b = 5.916 Å, c = 5.916 Å
α = 60.00°, β = 60.00°, γ = 60.00°
Atoms (fractional coordinates):
K  0.250  0.250  0.250
K  0.750  0.750  0.750
Mn  0.000  0.000  0.000
F  0.221  0.221  0.779
F  0.221  0.779  0.221
F  0.221  0.779  0.779
F  0.779  0.221  0.221
F  0.779  0.221  0.779
F  0.779  0.779  0.221



VASP calculation (GGA+U) on crystalline K3MnF6 at its relaxed geometry.

- space group = No. 225
- VASP energy (eV/atom) = -4.86
- energy of formation (eV/atom) = -2.906

a = 6.305 Å, b = 6.305 Å, c = 6.305 Å
α = 60.00°, β = 60.00°, γ = 60.00°
Atoms (fractional coordinates):
K  0.000  0.000  0.000
K  0.250  0.250  0.250
K  0.750  0.750  0.750
Mn  0.500  0.500  0.500
F  0.281  0.281  0.719
F  0.281  0.719  0.281
F  0.281  0.719  0.719
F  0.719  0.281  0.281
F  0.719  0.281  0.719
F  0.719  0.719  0.281



VASP calculation (GGA+U) on crystalline K2NaMnF6 at its relaxed geometry.

- space group = No. 225
- VASP energy (eV/atom) = -4.92
- energy of formation (eV/atom) = -2.946

a = 5.972 Å, b = 5.972 Å, c = 5.972 Å
α = 60.00°, β = 60.00°, γ = 60.00°
Atoms (fractional coordinates):
K  0.250  0.250  0.250
K  0.750  0.750  0.750
Na  0.000  0.000  0.000
Mn  0.500  0.500  0.500
F  0.268  0.268  0.732
F  0.268  0.732  0.268
F  0.268  0.732  0.732
F  0.732  0.268  0.268
F  0.732  0.268  0.732
F  0.732  0.732  0.268



VASP calculation (GGA+U) on crystalline K2NaMnF6 at its relaxed geometry.

- space group = No. 139
- VASP energy (eV/atom) = -4.96
- energy of formation (eV/atom) = -2.989

a = 6.028 Å, b = 6.028 Å, c = 6.028 Å
α = 121.62°, β = 121.62°, γ = 87.22°
Atoms (fractional coordinates):
K  0.250  0.750  0.500
K  0.750  0.250  0.500
Na  0.000  0.000  0.000
Mn  0.500  0.500  0.000
F  0.258  0.258  0.000
F  0.271  0.271  0.542
F  0.271  0.729  0.000
F  0.729  0.271  0.000
F  0.729  0.729  0.458
F  0.742  0.742  0.000



VASP calculation (GGA+U) on crystalline K2MnOF5 at its relaxed geometry.

- space group = No. 11
- VASP energy (eV/atom) = -4.77
- energy of formation (eV/atom) = -2.410

a = 6.100 Å, b = 8.199 Å, c = 6.203 Å
α = 90.00°, β = 97.16°, γ = 90.00°
Atoms (fractional coordinates):
K  0.006  0.250  0.081
K  0.423  0.750  0.479
K  0.577  0.250  0.521
K  0.994  0.750  0.919
Mn  0.500  0.000  0.000
Mn  0.500  0.500  0.000
O  0.061  0.250  0.550
O  0.939  0.750  0.450
F  0.265  0.529  0.168
F  0.265  0.971  0.168
F  0.300  0.508  0.742
F  0.300  0.992  0.742
F  0.462  0.250  0.023
F  0.538  0.750  0.977
F  0.700  0.008  0.258
F  0.700  0.492  0.258
F  0.735  0.029  0.832
F  0.735  0.471  0.832